# MgHg3

MgHg3 after structural relaxation (meta-GGA r2SCAN, the Materials Project).

Output
M_tot, μB per formula unit: 0.00
E_form, eV/atom: -0.068
Total energy, eV/atom: -38.1357

```
data_MgHg3
_cell_length_a 4.9341
_cell_length_b 4.9341
_cell_length_c 8.9684
_cell_angle_alpha 90.00
_cell_angle_beta 90.00
_cell_angle_gamma 120.00
_space_group_name_H-M_alt 'P 63/m m c'
_space_group_IT_number 194
_space_group_name_Hall '-P 6c 2c'
loop_
_atom_site_label
_atom_site_type_symbol
_atom_site_fract_x
_atom_site_fract_y
_atom_site_fract_z
Mg1 Mg 0.3333 0.6667 0.2500
Hg1 Hg 0.0000 0.0000 0.2500
Hg2 Hg 0.3333 0.6667 0.5740
```

# SiN2F6

SiN2F6 after structural relaxation (meta-GGA r2SCAN, the Materials Project).

Output
M_tot, μB per formula unit: 4.00
E_form, eV/atom: -0.719
Total energy, eV/atom: -5.8066

```
data_SiN2F6
_cell_length_a 4.9611
_cell_length_b 4.9611
_cell_length_c 4.7157
_cell_angle_alpha 90.00
_cell_angle_beta 90.00
_cell_angle_gamma 120.00
_space_group_name_H-M_alt 'P -3 m 1'
_space_group_IT_number 164
_space_group_name_Hall '-P 3 2"'
loop_
_atom_site_label
_atom_site_type_symbol
_atom_site_fract_x
_atom_site_fract_y
_atom_site_fract_z
Si1 Si 0.0000 0.0000 0.0000
N1 N 0.3333 0.6667 0.7282
F1 F 0.1590 0.3180 0.2110
```

# NbNiAs

NbNiAs after structural relaxation (meta-GGA r2SCAN, the Materials Project).

Output
M_tot, μB per formula unit: 0.00
E_form, eV/atom: -0.569
Total energy, eV/atom: -17.7096

```
data_NbNiAs
_cell_length_a 6.3316
_cell_length_b 3.7103
_cell_length_c 7.2710
_cell_angle_alpha 90.00
_cell_angle_beta 90.00
_cell_angle_gamma 90.00
_space_group_name_H-M_alt 'P n m a'
_space_group_IT_number 62
_space_group_name_Hall '-P 2ac 2n'
loop_
_atom_site_label
_atom_site_type_symbol
_atom_site_fract_x
_atom_site_fract_y
_atom_site_fract_z
Nb1 Nb 0.0171 0.2500 0.1635
Ni1 Ni 0.1602 0.2500 0.5743
As1 As 0.2100 0.7500 0.3811
```

# TlNiF3

TlNiF3 after structural relaxation (meta-GGA r2SCAN, the Materials Project).

Output
M_tot, μB per formula unit: 2.00
E_form, eV/atom: -2.110
Total energy, eV/atom: -17.0175

```
data_TlNiF3
_cell_length_a 4.0874
_cell_length_b 4.0874
_cell_length_c 4.0874
_cell_angle_alpha 90.00
_cell_angle_beta 90.00
_cell_angle_gamma 90.00
_space_group_name_H-M_alt 'P m -3 m'
_space_group_IT_number 221
_space_group_name_Hall '-P 4 2 3'
loop_
_atom_site_label
_atom_site_type_symbol
_atom_site_fract_x
_atom_site_fract_y
_atom_site_fract_z
Tl1 Tl 0.0000 0.0000 0.0000
Ni1 Ni 0.5000 0.5000 0.5000
F1 F 0.0000 0.5000 0.5000
```

# YbGdRh2

YbGdRh2 after structural relaxation (meta-GGA r2SCAN, the Materials Project).

Output
M_tot, μB per formula unit: 7.00
E_form, eV/atom: -0.914
Total energy, eV/atom: -32.9633

```
data_YbGdRh2
_cell_length_a 6.7903
_cell_length_b 6.7903
_cell_length_c 6.7903
_cell_angle_alpha 90.00
_cell_angle_beta 90.00
_cell_angle_gamma 90.00
_space_group_name_H-M_alt 'F m -3 m'
_space_group_IT_number 225
_space_group_name_Hall '-F 4 2 3'
loop_
_atom_site_label
_atom_site_type_symbol
_atom_site_fract_x
_atom_site_fract_y
_atom_site_fract_z
Yb1 Yb 0.0000 0.0000 0.0000
Gd1 Gd 0.0000 0.0000 0.5000
Rh1 Rh 0.2500 0.2500 0.2500
```

# NpPd3

NpPd3 after structural relaxation (meta-GGA r2SCAN, the Materials Project).

Output
Excess energy over the best structure of this formula in the dataset, meV per atom: 0
M_tot, μB per formula unit: 3.63
E_form, eV/atom: -0.744
Total energy, eV/atom: -38.7200

```
data_NpPd3
_cell_length_a 5.8541
_cell_length_b 5.8541
_cell_length_c 9.5801
_cell_angle_alpha 90.00
_cell_angle_beta 90.00
_cell_angle_gamma 120.00
_space_group_name_H-M_alt 'P 63 m c'
_space_group_IT_number 186
_space_group_name_Hall 'P 6c -2c'
loop_
_atom_site_label
_atom_site_type_symbol
_atom_site_fract_x
_atom_site_fract_y
_atom_site_fract_z
Np1 Np 0.0000 0.0000 0.0000
Np2 Np 0.3333 0.6667 0.2496
Pd1 Pd 0.0000 0.5000 0.9997
Pd2 Pd 0.1737 0.3474 0.7499
```

# NaMo3Se3

NaMo3Se3 after structural relaxation (meta-GGA r2SCAN, the Materials Project).

Output
M_tot, μB per formula unit: 0.00
E_form, eV/atom: -0.747
Total energy, eV/atom: -18.5631

```
data_NaMo3Se3
_cell_length_a 8.7780
_cell_length_b 8.7780
_cell_length_c 4.4853
_cell_angle_alpha 90.00
_cell_angle_beta 90.00
_cell_angle_gamma 120.00
_space_group_name_H-M_alt 'P 63/m'
_space_group_IT_number 176
_space_group_name_Hall '-P 6c'
loop_
_atom_site_label
_atom_site_type_symbol
_atom_site_fract_x
_atom_site_fract_y
_atom_site_fract_z
Na1 Na 0.3333 0.6667 0.2500
Mo1 Mo 0.0435 0.8524 0.2500
Se1 Se 0.0864 0.7050 0.7500
```

# Er5CuPb3

Er5CuPb3 after structural relaxation (meta-GGA r2SCAN, the Materials Project).

Output
M_tot, μB per formula unit: 0.44
E_form, eV/atom: -0.601
Total energy, eV/atom: -39.4155

```
data_Er5CuPb3
_cell_length_a 9.0318
_cell_length_b 9.0318
_cell_length_c 6.6119
_cell_angle_alpha 90.00
_cell_angle_beta 90.00
_cell_angle_gamma 120.00
_space_group_name_H-M_alt 'P 63/m c m'
_space_group_IT_number 193
_space_group_name_Hall '-P 6c 2'
loop_
_atom_site_label
_atom_site_type_symbol
_atom_site_fract_x
_atom_site_fract_y
_atom_site_fract_z
Er1 Er 0.0000 0.2506 0.2500
Er2 Er 0.3333 0.6667 0.0000
Cu1 Cu 0.0000 0.0000 0.0000
Pb1 Pb 0.0000 0.3906 0.7500
```